No. 1
SiO2 after structural relaxation, computed with PBE.

a b c (Å): 5.1109 5.1109 8.6267
angles (deg): 90.00 90.00 120.00
Positions (direct):
Si (0.3333, 0.6667, 0.0628)
Si (0.3333, 0.6667, 0.4372)
Si (0.6667, 0.3333, 0.5628)
Si (0.6667, 0.3333, 0.9372)
O (0.0000, 0.4206, 0.0000)
O (0.0000, 0.5794, 0.5000)
O (0.3333, 0.6667, 0.2500)
O (0.4206, 0.0000, 0.0000)
O (0.4206, 0.4206, 0.5000)
O (0.5794, 0.0000, 0.5000)
O (0.5794, 0.5794, 0.0000)
O (0.6667, 0.3333, 0.7500)

Maximum piezoelectric response: 0.032 C/m²
Energy of formation from the pure elements: -3.26 eV per atom


No. 2
YReN3 after structural relaxation, computed with PBE.

a b c (Å): 5.4711 5.4711 5.4711
angles (deg): 61.00 61.00 61.00
Positions (direct):
Y (0.2500, 0.2500, 0.2500)
Y (0.7500, 0.7500, 0.7500)
Re (0.0000, 0.0000, 0.0000)
Re (0.5000, 0.5000, 0.5000)
N (0.1740, 0.7500, 0.3260)
N (0.2500, 0.6740, 0.8260)
N (0.3260, 0.1740, 0.7500)
N (0.6740, 0.8260, 0.2500)
N (0.7500, 0.3260, 0.1740)
N (0.8260, 0.2500, 0.6740)

Energy of formation from the pure elements: -0.86 eV per atom


No. 3
Li2SiS3 after structural relaxation, computed with PBE.

a b c (Å): 6.7645 6.7645 6.0136
angles (deg): 90.00 90.00 60.55
Positions (direct):
Li (0.0085, 0.3242, 0.0000)
Li (0.3242, 0.0085, 0.5000)
Li (0.6758, 0.9915, 0.0000)
Li (0.9915, 0.6758, 0.5000)
Si (0.3337, 0.6663, 0.9857)
Si (0.6663, 0.3337, 0.4857)
S (0.0379, 0.6596, 0.9000)
S (0.3404, 0.9621, 0.9000)
S (0.3635, 0.6365, 0.3574)
S (0.6365, 0.3635, 0.8574)
S (0.6596, 0.0379, 0.4000)
S (0.9621, 0.3404, 0.4000)

Energy of formation from the pure elements: -1.31 eV per atom


No. 4
HfBi after structural relaxation, computed with PBE.

a b c (Å): 5.7689 5.7689 14.3520
angles (deg): 90.00 90.00 141.08
Positions (direct):
Hf (0.0694, 0.9306, 0.6106)
Hf (0.0694, 0.9306, 0.8894)
Hf (0.4009, 0.5991, 0.7500)
Hf (0.5991, 0.4009, 0.2500)
Hf (0.9306, 0.0694, 0.1106)
Hf (0.9306, 0.0694, 0.3894)
Bi (0.3156, 0.6844, 0.2500)
Bi (0.3580, 0.6420, 0.5499)
Bi (0.3580, 0.6420, 0.9501)
Bi (0.6420, 0.3580, 0.0499)
Bi (0.6420, 0.3580, 0.4501)
Bi (0.6844, 0.3156, 0.7500)

Energy of formation from the pure elements: -0.17 eV per atom


No. 5
Rb4Nb2Si8O23 after structural relaxation, computed with PBE.

a b c (Å): 6.9971 7.9265 11.1828
angles (deg): 76.35 89.17 71.58
Positions (direct):
Rb (0.1819, 0.2807, 0.3555)
Rb (0.2103, 0.2202, 0.0099)
Rb (0.7897, 0.7798, 0.9901)
Rb (0.8181, 0.7193, 0.6445)
Nb (0.2860, 0.7413, 0.8168)
Nb (0.7140, 0.2587, 0.1832)
Si (0.0020, 0.1941, 0.6992)
Si (0.3330, 0.6725, 0.1308)
Si (0.3434, 0.7016, 0.5009)
Si (0.4485, 0.1326, 0.7144)
Si (0.5515, 0.8674, 0.2856)
Si (0.6566, 0.2984, 0.4991)
Si (0.6670, 0.3275, 0.8692)
Si (0.9980, 0.8059, 0.3008)
O (0.0444, 0.9779, 0.7546)
O (0.1231, 0.7246, 0.4369)
O (0.1238, 0.6877, 0.2056)
O (0.1255, 0.6009, 0.8523)
O (0.2079, 0.2505, 0.6747)
O (0.2796, 0.7914, 0.9893)
O (0.3171, 0.7319, 0.6369)
O (0.4324, 0.8555, 0.4148)
O (0.4435, 0.4557, 0.1417)
O (0.4723, 0.7597, 0.1985)
O (0.4810, 0.9242, 0.7828)
O (0.5000, 0.5000, 0.5000)
O (0.5190, 0.0758, 0.2172)
O (0.5277, 0.2403, 0.8015)
O (0.5565, 0.5443, 0.8583)
O (0.5676, 0.1445, 0.5852)
O (0.6829, 0.2681, 0.3631)
O (0.7204, 0.2086, 0.0107)
O (0.7921, 0.7495, 0.3253)
O (0.8745, 0.3991, 0.1477)
O (0.8762, 0.3123, 0.7944)
O (0.8769, 0.2754, 0.5631)
O (0.9556, 0.0221, 0.2454)

Energy of formation from the pure elements: -3.10 eV per atom


No. 6
CsNaSnF6 after structural relaxation, computed with PBE.

a b c (Å): 8.5246 13.6149 11.4235
angles (deg): 90.00 90.00 90.00
Positions (direct):
Cs (0.0000, 0.0733, 0.2500)
Cs (0.0000, 0.3844, 0.7500)
Cs (0.0000, 0.6156, 0.2500)
Cs (0.0000, 0.9267, 0.7500)
Cs (0.5000, 0.1156, 0.2500)
Cs (0.5000, 0.4267, 0.7500)
Cs (0.5000, 0.5733, 0.2500)
Cs (0.5000, 0.8844, 0.7500)
Na (0.2474, 0.3569, 0.0734)
Na (0.2474, 0.6431, 0.5734)
Na (0.2526, 0.1431, 0.5734)
Na (0.2526, 0.8569, 0.0734)
Na (0.7474, 0.1431, 0.9266)
Na (0.7474, 0.8569, 0.4266)
Na (0.7526, 0.3569, 0.4266)
Na (0.7526, 0.6431, 0.9266)
Sn (0.2503, 0.1371, 0.9239)
Sn (0.2497, 0.3629, 0.4239)
Sn (0.2497, 0.6371, 0.9239)
Sn (0.2503, 0.8629, 0.4239)
Sn (0.7497, 0.1371, 0.5761)
Sn (0.7503, 0.3629, 0.0761)
Sn (0.7503, 0.6371, 0.5761)
Sn (0.7497, 0.8629, 0.0761)
F (0.0210, 0.1533, 0.8909)
F (0.0213, 0.3792, 0.4579)
F (0.0213, 0.6208, 0.9579)
F (0.0210, 0.8467, 0.3909)
F (0.2065, 0.0003, 0.4777)
F (0.2065, 0.9997, 0.9777)
F (0.2177, 0.4157, 0.2611)
F (0.2177, 0.5843, 0.7611)
F (0.2195, 0.2214, 0.3783)
F (0.2195, 0.7786, 0.8783)
F (0.2228, 0.1856, 0.0900)
F (0.2228, 0.8144, 0.5900)
F (0.2772, 0.3144, 0.5900)
F (0.2772, 0.6856, 0.0900)
F (0.2805, 0.2786, 0.8783)
F (0.2805, 0.7214, 0.3783)
F (0.2823, 0.0843, 0.7611)
F (0.2823, 0.9157, 0.2611)
F (0.2935, 0.5003, 0.4777)
F (0.2935, 0.4997, 0.9777)
F (0.4787, 0.1208, 0.9579)
F (0.4790, 0.3467, 0.3909)
F (0.4790, 0.6533, 0.8909)
F (0.4787, 0.8792, 0.4579)
F (0.5213, 0.1208, 0.5421)
F (0.5210, 0.3467, 0.1091)
F (0.5210, 0.6533, 0.6091)
F (0.5213, 0.8792, 0.0421)
F (0.7065, 0.5003, 0.0223)
F (0.7065, 0.4997, 0.5223)
F (0.7177, 0.0843, 0.7389)
F (0.7177, 0.9157, 0.2389)
F (0.7195, 0.2786, 0.6217)
F (0.7195, 0.7214, 0.1217)
F (0.7228, 0.3144, 0.9100)
F (0.7228, 0.6856, 0.4100)
F (0.7772, 0.1856, 0.4100)
F (0.7772, 0.8144, 0.9100)
F (0.7805, 0.2214, 0.1217)
F (0.7805, 0.7786, 0.6217)
F (0.7823, 0.4157, 0.2389)
F (0.7823, 0.5843, 0.7389)
F (0.7935, 0.0003, 0.0223)
F (0.7935, 0.9997, 0.5223)
F (0.9790, 0.1533, 0.6091)
F (0.9787, 0.3792, 0.0421)
F (0.9787, 0.6208, 0.5421)
F (0.9790, 0.8467, 0.1091)

Energy of formation from the pure elements: -3.02 eV per atom


One value per record, in order, for electronic total energy: -0.291; -0.346; -0.171; -0.261; -0.278; -0.172 Ha/atom.